Density functional theory data (r2SCAN) for a relaxed structure of NdGeRu.

Unit cell a=4.3101 b=4.3101 c=6.8508 alpha=90.00 beta=90.00 gamma=90.00
Fractional coordinates of all 6 atoms:
Nd (0.2500, 0.2500, 0.1889)
Nd (0.7500, 0.7500, 0.8111)
Ge (0.2500, 0.2500, 0.6905)
Ge (0.7500, 0.7500, 0.3095)
Ru (0.2500, 0.7500, 0.5000)
Ru (0.7500, 0.2500, 0.5000)

Values from the calculation:
- energy relative to the elements (meV/atom) = -729.8
- space-group type = No. 129
- electronic total energy (eV per atom) = -23.6347